#1
Below is a relaxed MgNb4O10 crystal, with properties calculated at the GGA-PBE level.

Properties
Volume = 209.07 Å³ per cell

Unit cell a=7.754 b=4.065 c=6.639 alpha=90.00 beta=87.53 gamma=90.00
Atoms (fractional coordinates):
1 O 0.494 0.750 0.669
2 Nb 0.284 0.250 0.261
3 O 0.043 0.750 0.819
4 O 0.794 0.250 0.748
5 O 0.970 0.250 0.172
6 Nb 0.720 0.750 0.708
7 O 0.727 0.750 0.019
8 O 0.275 0.250 0.969
9 O 0.208 0.750 0.282
10 O 0.503 0.250 0.306
11 O 0.188 0.250 0.572
12 Mg 0.251 0.750 0.600
13 O 0.830 0.750 0.443
14 Nb 0.050 0.250 0.848
15 Nb 0.922 0.750 0.169

***

#2
Below is a relaxed MgNb4O10 crystal, with properties calculated at the GGA-PBE level.

Properties
Volume = 215.81 Å³ per cell

Unit cell a=8.308 b=3.932 c=6.611 alpha=90.00 beta=87.62 gamma=90.00
Atoms (fractional coordinates):
1 O 0.520 0.750 0.698
2 O 0.990 0.250 0.156
3 O 0.460 0.250 0.354
4 O 0.281 0.250 0.935
5 O 0.016 0.750 0.829
6 Mg 0.418 0.250 0.664
7 O 0.189 0.750 0.233
8 O 0.810 0.250 0.752
9 Nb 0.924 0.750 0.192
10 O 0.178 0.250 0.554
11 Nb 0.069 0.250 0.817
12 Nb 0.741 0.750 0.738
13 Nb 0.261 0.250 0.257
14 O 0.737 0.750 0.043
15 O 0.838 0.750 0.454

***

Compare the structures above. Which one is the most stable? #2 is.